Entry 1:
# Cs2TeP2H8O13

Cs2TeP2H8O13 after structural relaxation (PBE-GGA, the Materials Project).

```
data_Cs2TeP2H8O13
_chemical_formula_sum 'Cs8 Te4 P8 H32 O52'
_space_group_name_H-M_alt 'P 1'
_space_group_IT_number 1
_space_group_name_Hall 'P 1'
_cell_length_a 11.2064
_cell_length_b 11.2064
_cell_length_c 16.8567
_cell_angle_alpha 74.48
_cell_angle_beta 74.48
_cell_angle_gamma 44.52
loop_
_atom_site_label
_atom_site_type_symbol
_atom_site_fract_x
_atom_site_fract_y
_atom_site_fract_z
Cs1 Cs 0.8136 0.8742 0.9542
Cs2 Cs 0.1272 0.1865 0.5464
Cs3 Cs 0.1865 0.1272 0.0464
Cs4 Cs 0.8742 0.8136 0.4542
Cs5 Cs 0.7424 0.4364 0.3301
Cs6 Cs 0.5672 0.2552 0.1689
Cs7 Cs 0.2552 0.5672 0.6689
Cs8 Cs 0.4364 0.7424 0.8301
Te1 Te 0.3354 0.4054 0.9283
Te2 Te 0.5948 0.6646 0.5716
Te3 Te 0.6646 0.5948 0.0716
Te4 Te 0.4054 0.3354 0.4283
P1 P 0.1880 0.8993 0.3686
P2 P 0.0944 0.8140 0.1265
P3 P 0.8140 0.0944 0.6265
P4 P 0.8993 0.1880 0.8686
P5 P 0.3761 0.0033 0.2881
P6 P 0.9961 0.6225 0.2118
P7 P 0.6225 0.9961 0.7118
P8 P 0.0033 0.3761 0.7881
H1 H 0.4655 0.1110 0.3731
H2 H 0.8893 0.5346 0.1269
H3 H 0.5346 0.8893 0.6269
H4 H 0.1110 0.4655 0.8731
H5 H 0.4017 0.6822 0.0433
H6 H 0.3167 0.5986 0.4570
H7 H 0.5986 0.3167 0.9570
H8 H 0.6822 0.4017 0.5433
H9 H 0.7188 0.7646 0.2642
H10 H 0.2354 0.2809 0.2361
H11 H 0.2809 0.2354 0.7361
H12 H 0.7646 0.7188 0.7642
H13 H 0.3722 0.7528 0.4976
H14 H 0.2490 0.6265 0.0025
H15 H 0.6265 0.2490 0.5025
H16 H 0.7528 0.3722 0.9976
H17 H 0.5204 0.8618 0.4372
H18 H 0.1380 0.4795 0.0628
H19 H 0.4795 0.1380 0.5628
H20 H 0.8618 0.5204 0.9372
H21 H 0.5660 0.8169 0.1498
H22 H 0.1831 0.4339 0.3502
H23 H 0.4339 0.1831 0.8502
H24 H 0.8169 0.5660 0.6498
H25 H 0.4235 0.6746 0.1783
H26 H 0.3236 0.5777 0.3221
H27 H 0.5777 0.3236 0.8221
H28 H 0.6746 0.4235 0.6783
H29 H 0.0067 0.0108 0.4842
H30 H 0.0108 0.0067 0.9842
H31 H 0.1165 0.8784 0.2391
H32 H 0.8784 0.1165 0.7391
O1 O 0.5334 0.2837 0.9862
O2 O 0.7170 0.4654 0.5143
O3 O 0.4654 0.7170 0.0143
O4 O 0.2837 0.5334 0.4862
O5 O 0.6284 0.2339 0.4452
O6 O 0.7663 0.3718 0.0550
O7 O 0.3718 0.7663 0.5550
O8 O 0.2339 0.6284 0.9452
O9 O 0.5453 0.8440 0.2505
O10 O 0.1554 0.4542 0.2496
O11 O 0.4542 0.1554 0.7496
O12 O 0.8440 0.5453 0.7505
O13 O 0.5689 0.8159 0.0899
O14 O 0.1846 0.4304 0.4102
O15 O 0.4304 0.1846 0.9102
O16 O 0.8159 0.5689 0.5899
O17 O 0.5335 0.1408 0.3668
O18 O 0.8590 0.4670 0.1330
O19 O 0.4670 0.8590 0.6330
O20 O 0.1408 0.5335 0.8668
O21 O 0.3428 0.7412 0.4132
O22 O 0.2620 0.6540 0.0884
O23 O 0.6540 0.2620 0.5884
O24 O 0.7412 0.3428 0.9132
O25 O 0.9629 0.9547 0.0671
O26 O 0.0449 0.0466 0.4262
O27 O 0.0466 0.0449 0.9262
O28 O 0.9547 0.9629 0.5671
O29 O 0.2357 0.9918 0.2959
O30 O 0.0053 0.7649 0.2019
O31 O 0.7649 0.0053 0.7019
O32 O 0.9918 0.2357 0.7959
O33 O 0.5482 0.5767 0.1786
O34 O 0.4228 0.4528 0.3216
O35 O 0.4528 0.4228 0.8216
O36 O 0.5767 0.5482 0.6786
O37 O 0.1351 0.8842 0.1737
O38 O 0.1159 0.8600 0.3267
O39 O 0.8600 0.1159 0.8267
O40 O 0.8842 0.1351 0.6737
O41 O 0.3052 0.1609 0.2200
O42 O 0.8391 0.6927 0.2802
O43 O 0.6927 0.8391 0.7802
O44 O 0.1609 0.3052 0.7200
O45 O 0.3755 0.0314 0.3713
O46 O 0.9681 0.6217 0.1288
O47 O 0.6217 0.9681 0.6288
O48 O 0.0314 0.3755 0.8713
O49 O 0.6235 0.7745 0.4685
O50 O 0.2252 0.3768 0.0312
O51 O 0.3768 0.2252 0.5312
O52 O 0.7745 0.6235 0.9685
```

Uncorrected energy (Ha/atom): -0.2069
Crystal system: monoclinic
Symmetry: No. 9
Formation enthalpy at 0 K (eV/atom): -1.8486



Entry 2:
# K2Ca2Si8O23

K2Ca2Si8O23 after structural relaxation (PBE-GGA, the Materials Project).

```
data_K2Ca2Si8O23
_chemical_formula_sum 'K2 Ca2 Si8 O23'
_space_group_name_H-M_alt 'P 1'
_space_group_IT_number 1
_space_group_name_Hall 'P 1'
_cell_length_a 6.5590
_cell_length_b 7.1433
_cell_length_c 12.7697
_cell_angle_alpha 106.24
_cell_angle_beta 97.68
_cell_angle_gamma 90.00
loop_
_atom_site_label
_atom_site_type_symbol
_atom_site_fract_x
_atom_site_fract_y
_atom_site_fract_z
K1 K 0.2785 0.1379 0.2628
K2 K 0.7215 0.8751 0.7372
Ca1 Ca 0.9611 0.2578 0.5182
Ca2 Ca 0.0389 0.7396 0.4818
Si1 Si 0.0048 0.4350 0.8687
Si2 Si 0.9952 0.5663 0.1313
Si3 Si 0.2208 0.0843 0.7326
Si4 Si 0.7792 0.3517 0.2674
Si5 Si 0.5748 0.3534 0.7061
Si6 Si 0.4252 0.6473 0.2939
Si7 Si 0.2220 0.6521 0.7363
Si8 Si 0.7780 0.9158 0.2637
O1 O 0.0000 0.5006 0.0000
O2 O 0.7739 0.3762 0.8030
O3 O 0.2261 0.5731 0.1970
O4 O 0.2784 0.8880 0.7722
O5 O 0.7216 0.1158 0.2278
O6 O 0.0508 0.0390 0.6254
O7 O 0.9492 0.4136 0.3746
O8 O 0.4452 0.1635 0.7148
O9 O 0.5548 0.4486 0.2852
O10 O 0.1458 0.2441 0.8398
O11 O 0.8542 0.4044 0.1602
O12 O 0.6510 0.3230 0.5876
O13 O 0.3490 0.7354 0.4124
O14 O 0.0839 0.5756 0.6186
O15 O 0.9161 0.9570 0.3814
O16 O 0.4487 0.5544 0.7454
O17 O 0.5513 0.8090 0.2546
O18 O 0.0993 0.6187 0.8352
O19 O 0.9007 0.7834 0.1648
O20 O 0.4232 0.9214 0.0237
O21 O 0.5768 0.8978 0.9763
O22 O 0.3506 0.2383 0.4894
O23 O 0.6494 0.7488 0.5106
```

Uncorrected energy (Ha/atom): -0.2572
Crystal system: monoclinic
Symmetry: No. 5
Formation enthalpy at 0 K (eV/atom): -2.4361



Question: Which of these has the lowest formation enthalpy at 0 K?
Answer: K2Ca2Si8O23



Question: What is the formula in the second record?
Answer: K2Ca2Si8O23